(1)
This record from the Materials Project describes crystalline Li3NbV3O8 at its relaxed geometry. The functional is GGA+U.

POSCAR file:
```
Li3NbV3O8
1.0
5.659 -1.053 -1.965
-4.132 -4.499 -0.082
-1.859 5.906 -8.526
Li Nb V O
6 2 6 16
direct
0.250 0.500 0.250
0.750 0.500 0.750
0.500 0.500 0.500
0.000 0.500 0.000
0.000 0.500 0.500
0.500 0.500 0.000
0.500 0.000 0.500
0.000 0.000 0.000
0.499 0.000 0.000
0.251 0.000 0.750
0.251 0.000 0.250
0.999 0.000 0.500
0.751 0.000 0.250
0.751 0.000 0.750
0.389 0.778 0.137
0.889 0.778 0.637
0.611 0.222 0.863
0.111 0.222 0.363
0.886 0.772 0.121
0.386 0.772 0.621
0.114 0.228 0.879
0.614 0.228 0.379
0.153 0.777 0.379
0.653 0.777 0.879
0.623 0.776 0.379
0.123 0.776 0.879
0.847 0.224 0.621
0.347 0.224 0.121
0.376 0.223 0.621
0.876 0.224 0.121
```

Results
**Spin magnetization**: 0.0 μB/cell
**Distance to the lowest polymorph of the same formula**: 0 meV per atom
**Formation energy from the elements**: -2519 meV per atom



(2)
This record from the Materials Project describes crystalline LiNbVO4 at its relaxed geometry. The functional is GGA+U.

POSCAR file:
```
LiNbVO4
1.0
-1.184 0.013 6.038
-8.276 1.895 -1.558
-1.298 -6.013 -0.152
Li Nb V O
4 4 4 16
direct
0.003 0.125 0.253
0.503 0.625 0.753
0.997 0.875 0.747
0.497 0.375 0.247
0.251 0.251 0.754
0.751 0.750 0.254
0.003 0.499 0.001
0.504 0.999 0.501
0.494 0.997 0.002
0.252 0.753 0.244
0.994 0.497 0.501
0.751 0.253 0.744
0.015 0.256 0.528
0.515 0.756 0.028
0.778 0.494 0.765
0.277 0.994 0.265
0.220 0.510 0.240
0.720 0.010 0.740
0.990 0.740 0.470
0.490 0.240 0.970
0.232 0.492 0.747
0.732 0.993 0.247
0.997 0.257 0.982
0.497 0.757 0.482
0.767 0.508 0.251
0.267 0.008 0.750
0.001 0.742 0.017
0.500 0.242 0.517
```

Results
**Spin magnetization**: 0.0 μB/cell
**Distance to the lowest polymorph of the same formula**: 16 meV per atom
**Formation energy from the elements**: -2655 meV per atom



(3)
This record from the Materials Project describes crystalline Li2NbV3O8 at its relaxed geometry. The functional is GGA+U.

POSCAR file:
```
Li2NbV3O8
1.0
-2.933 -5.773 -0.096
-0.790 -5.340 -3.578
4.511 -4.472 2.219
Li Nb V O
2 1 3 8
direct
0.945 0.945 0.363
0.058 0.058 0.657
0.292 0.292 0.280
0.610 0.610 0.297
0.391 0.391 0.688
0.705 0.705 0.728
0.880 0.880 0.672
0.778 0.778 0.332
0.649 0.649 0.007
0.560 0.560 0.633
0.436 0.436 0.355
0.350 0.350 0.002
0.229 0.229 0.655
0.118 0.118 0.331
```

Results
**Spin magnetization**: 6.0 μB/cell
**Distance to the lowest polymorph of the same formula**: 92 meV per atom
**Formation energy from the elements**: -2558 meV per atom



(4)
This record from the Materials Project describes crystalline Li3NbV2O6 at its relaxed geometry. The functional is GGA+U.

POSCAR file:
```
Li3NbV2O6
1.0
0.010 -3.112 5.111
6.140 -2.817 0.037
3.631 5.799 0.059
Li Nb V O
6 2 4 12
direct
0.750 0.333 0.167
0.250 0.334 0.167
0.747 0.996 0.491
0.244 0.989 0.483
0.754 0.670 0.842
0.255 0.678 0.850
0.474 0.332 0.667
0.026 0.335 0.667
0.003 0.997 0.008
0.001 0.662 0.334
0.500 0.005 0.000
0.498 0.670 0.325
0.628 0.012 0.754
0.118 0.012 0.759
0.872 0.655 0.580
0.382 0.654 0.574
0.622 0.676 0.094
0.125 0.681 0.088
0.878 0.990 0.240
0.374 0.986 0.245
0.629 0.348 0.429
0.118 0.327 0.399
0.871 0.319 0.905
0.382 0.340 0.934
```

Results
**Spin magnetization**: 0.0 μB/cell
**Distance to the lowest polymorph of the same formula**: 0 meV per atom
**Formation energy from the elements**: -2496 meV per atom



(5)
This record from the Materials Project describes crystalline Li6Nb3V3O16 at its relaxed geometry. The functional is GGA+U.

POSCAR file:
```
Li6Nb3V3O16
1.0
-4.144 -0.484 -4.406
-1.292 -5.459 -2.312
-7.267 -1.260 6.903
Li Nb V O
6 3 3 16
direct
0.346 0.346 0.498
0.334 0.334 0.105
0.993 0.993 0.000
0.987 0.987 0.502
0.673 0.673 0.987
0.669 0.669 0.617
0.174 0.174 0.772
0.835 0.344 0.287
0.344 0.835 0.287
0.834 0.834 0.284
0.667 0.185 0.791
0.185 0.667 0.791
0.693 0.156 0.390
0.482 0.482 0.683
0.336 0.336 0.894
0.003 0.003 0.682
0.008 0.008 0.180
0.156 0.693 0.390
0.489 0.030 0.679
0.030 0.489 0.679
0.850 0.850 0.882
0.155 0.155 0.398
0.974 0.511 0.174
0.511 0.974 0.174
0.662 0.662 0.401
0.842 0.303 0.893
0.514 0.514 0.180
0.303 0.842 0.893
```

Results
**Spin magnetization**: 4.0 μB/cell
**Formation energy from the elements**: -2619 meV per atom



(6)
This record from the Materials Project describes crystalline Li3NbV4O8 at its relaxed geometry. The functional is GGA+U.

POSCAR file:
```
Li3NbV4O8
1.0
-2.807 -2.292 -4.878
-1.220 -5.950 -0.198
-5.779 -1.906 0.471
Li Nb V O
3 1 4 8
direct
0.000 0.500 0.500
0.500 0.000 0.500
0.000 0.000 0.500
0.500 0.500 0.000
0.000 0.000 0.000
0.500 0.000 0.000
0.000 0.500 0.000
0.500 0.500 0.500
0.262 0.262 0.235
0.741 0.258 0.242
0.258 0.741 0.242
0.738 0.738 0.765
0.750 0.750 0.244
0.259 0.742 0.758
0.742 0.259 0.758
0.250 0.250 0.756
```

Results
**Spin magnetization**: 11.5 μB/cell
**Formation energy from the elements**: -2340 meV per atom



(7)
This record from the Materials Project describes crystalline LiNbVO4 at its relaxed geometry. The functional is GGA+U.

POSCAR file:
```
LiNbVO4
1.0
-3.087 5.331 -0.009
-3.084 1.771 5.028
9.234 1.753 5.024
Li Nb V O
4 4 4 16
direct
0.132 0.943 0.191
0.127 0.442 0.690
0.873 0.558 0.310
0.868 0.057 0.809
0.500 0.000 0.500
0.500 0.500 0.000
0.491 0.748 0.750
0.509 0.252 0.250
0.000 0.500 0.000
0.500 0.500 0.500
0.000 0.000 0.500
0.500 0.000 0.000
0.269 0.879 0.391
0.262 0.383 0.894
0.269 0.638 0.629
0.260 0.156 0.123
0.740 0.844 0.877
0.731 0.362 0.371
0.738 0.617 0.106
0.731 0.121 0.609
0.272 0.098 0.624
0.259 0.602 0.121
0.718 0.650 0.623
0.725 0.140 0.123
0.741 0.398 0.879
0.728 0.902 0.376
0.275 0.860 0.877
0.282 0.350 0.377
```

Results
**Spin magnetization**: 0.0 μB/cell
**Distance to the lowest polymorph of the same formula**: 14 meV per atom
**Formation energy from the elements**: -2657 meV per atom



(8)
This record from the Materials Project describes crystalline Li3NbV3O8 at its relaxed geometry. The functional is GGA+U.

POSCAR file:
```
Li3NbV3O8
1.0
1.723 -2.664 -5.209
3.583 4.225 2.596
1.723 -8.989 5.200
Li Nb V O
6 2 6 16
direct
0.252 0.505 0.256
0.745 0.497 0.744
0.501 0.505 0.501
0.996 0.496 0.999
0.993 0.501 0.501
0.506 0.501 0.001
0.493 0.005 0.504
0.005 0.995 0.996
0.506 0.000 0.000
0.989 0.994 0.493
0.756 0.998 0.254
0.247 0.998 0.753
0.255 0.004 0.250
0.750 0.998 0.749
0.397 0.790 0.132
0.874 0.776 0.631
0.622 0.222 0.875
0.122 0.229 0.363
0.896 0.778 0.124
0.395 0.776 0.623
0.105 0.228 0.880
0.612 0.224 0.378
0.150 0.776 0.377
0.649 0.772 0.884
0.614 0.773 0.378
0.133 0.769 0.888
0.845 0.227 0.618
0.357 0.224 0.115
0.369 0.227 0.616
0.867 0.211 0.117
```

Results
**Spin magnetization**: 10.0 μB/cell
**Distance to the lowest polymorph of the same formula**: 4 meV per atom
**Formation energy from the elements**: -2515 meV per atom



(9)
This record from the Materials Project describes crystalline Li4NbV3O8 at its relaxed geometry. The functional is GGA+U.

POSCAR file:
```
Li4NbV3O8
1.0
5.377 -2.869 0.000
5.377 2.869 0.000
3.846 0.000 4.728
Li Nb V O
4 1 3 8
direct
0.500 0.500 0.500
0.000 0.500 0.000
0.500 0.000 0.000
0.000 0.000 0.500
0.000 0.000 0.000
0.500 0.000 0.500
0.000 0.500 0.500
0.500 0.500 0.000
0.258 0.258 0.258
0.748 0.258 0.748
0.258 0.748 0.748
0.742 0.742 0.742
0.748 0.748 0.258
0.252 0.742 0.252
0.742 0.252 0.252
0.252 0.252 0.742
```

Results
**Spin magnetization**: 5.6 μB/cell
**Distance to the lowest polymorph of the same formula**: 42 meV per atom
**Formation energy from the elements**: -2409 meV per atom



(10)
This record from the Materials Project describes crystalline Li3NbV2O6 at its relaxed geometry. The functional is GGA+U.

POSCAR file:
```
Li3NbV2O6
1.0
0.000 1.538 -2.515
9.834 2.970 0.088
2.546 -7.106 -2.618
Li Nb V O
6 2 4 12
direct
0.417 0.250 0.083
0.917 0.750 0.583
0.259 0.737 0.255
0.759 0.237 0.755
0.074 0.263 0.411
0.574 0.763 0.911
0.667 0.000 0.333
0.167 0.500 0.833
0.496 0.504 0.495
0.338 0.996 0.671
0.996 0.004 0.995
0.838 0.496 0.171
0.624 0.884 0.132
0.124 0.385 0.632
0.210 0.616 0.035
0.710 0.115 0.535
0.456 0.381 0.292
0.956 0.881 0.792
0.878 0.619 0.375
0.378 0.119 0.875
0.291 0.875 0.457
0.791 0.375 0.957
0.042 0.125 0.209
0.542 0.625 0.709
```

Results
**Spin magnetization**: 0.0 μB/cell
**Distance to the lowest polymorph of the same formula**: 29 meV per atom
**Formation energy from the elements**: -2467 meV per atom



(11)
This record from the Materials Project describes crystalline Li2NbV3O8 at its relaxed geometry. The functional is GGA+U.

POSCAR file:
```
Li2NbV3O8
1.0
-1.061 3.446 4.872
-4.268 -6.335 7.322
3.856 -0.093 4.676
Li Nb V O
4 2 6 16
direct
0.436 0.692 0.436
0.936 0.192 0.936
0.064 0.808 0.064
0.564 0.308 0.564
0.250 0.250 0.250
0.750 0.750 0.750
0.500 0.000 0.500
0.500 0.000 0.000
0.000 0.000 0.500
0.000 0.500 0.000
0.000 0.500 0.500
0.500 0.500 0.000
0.367 0.898 0.367
0.867 0.398 0.867
0.133 0.602 0.133
0.633 0.102 0.633
0.595 0.124 0.140
0.095 0.624 0.640
0.140 0.124 0.595
0.640 0.624 0.095
0.140 0.124 0.140
0.640 0.624 0.640
0.360 0.376 0.360
0.860 0.876 0.860
0.360 0.376 0.905
0.860 0.876 0.405
0.905 0.376 0.360
0.405 0.876 0.860
```

Results
**Spin magnetization**: 0.0 μB/cell
**Distance to the lowest polymorph of the same formula**: 6 meV per atom
**Formation energy from the elements**: -2644 meV per atom



(12)
This record from the Materials Project describes crystalline Li9Nb7V12O48 at its relaxed geometry. The functional is GGA+U.

POSCAR file:
```
Li9Nb7V12O48
1.0
-2.129 -0.624 4.691
-7.945 -5.418 -4.300
8.872 -15.168 2.521
Li Nb V O
9 7 12 48
direct
0.250 0.582 0.039
0.251 0.269 0.699
0.254 0.730 0.202
0.246 0.416 0.533
0.412 0.257 0.253
0.581 0.744 0.748
0.764 0.915 0.462
0.753 0.259 0.793
0.769 0.750 0.297
0.077 0.747 0.750
0.232 0.920 0.036
0.229 0.068 0.524
0.764 0.569 0.476
0.721 0.446 0.975
0.742 0.084 0.967
0.913 0.251 0.249
0.255 0.975 0.338
0.231 0.527 0.347
0.275 0.468 0.843
0.280 0.034 0.831
0.735 0.528 0.158
0.689 0.956 0.180
0.773 0.469 0.656
0.760 0.024 0.656
0.193 0.252 0.059
0.300 0.746 0.557
0.699 0.249 0.444
0.793 0.764 0.941
0.082 0.762 0.010
0.042 0.389 0.630
0.049 0.106 0.623
0.104 0.373 0.790
0.072 0.129 0.790
0.115 0.890 0.531
0.057 0.625 0.530
0.062 0.995 0.927
0.072 0.497 0.922
0.151 0.254 0.165
0.152 0.384 0.300
0.149 0.121 0.299
0.320 0.874 0.791
0.318 0.616 0.794
0.327 0.746 0.656
0.419 0.011 0.423
0.424 0.494 0.425
0.415 0.107 0.032
0.435 0.379 0.028
0.466 0.900 0.272
0.400 0.628 0.293
0.418 0.880 0.121
0.462 0.604 0.133
0.430 0.232 0.512
0.565 0.735 0.488
0.570 0.396 0.874
0.569 0.119 0.878
0.589 0.374 0.712
0.580 0.108 0.719
0.561 0.902 0.967
0.596 0.614 0.969
0.568 0.997 0.578
0.585 0.512 0.575
0.674 0.252 0.345
0.678 0.384 0.212
0.683 0.127 0.209
0.850 0.878 0.699
0.857 0.615 0.705
0.850 0.753 0.836
0.917 0.479 0.072
0.916 0.011 0.071
0.888 0.391 0.468
0.937 0.122 0.470
0.939 0.870 0.204
0.917 0.623 0.210
0.998 0.886 0.363
0.935 0.607 0.377
0.903 0.249 0.987
```

Results
**Spin magnetization**: 8.0 μB/cell
**Distance to the lowest polymorph of the same formula**: 0 meV per atom
**Formation energy from the elements**: -2590 meV per atom



| no. | E_tot (eV per atom) |
| --- | --- |
| 1 | -7.3236 |
| 2 | -7.8600 |
| 3 | -7.5698 |
| 4 | -7.1758 |
| 5 | -7.3367 |
| 6 | -7.3062 |
| 7 | -7.8625 |
| 8 | -7.3199 |
| 9 | -7.0321 |
| 10 | -7.1469 |
| 11 | -7.6555 |
| 12 | -7.6037 |